[1]
Entry from the Materials Project: a relaxed structure of LiMoP2O7 (PBE with a Hubbard U).

Properties
V, Å³/f.u.: 137.1
Polymorph energy (0 for the lowest one), kJ/mol of formula units: 23
SG: P-1
Formation energy from the elements, eV per atom: -2.562
VASP energy, eV/atom: -7.126

```
22
Lattice="-2.174 -4.274 4.480 5.752 -1.170 2.980 -1.690 3.022 6.045" Properties=species:S:1:pos:R:3 pbc="T T T"
P 1.008 -1.533 8.657
P -0.986 1.213 6.005
P 0.881 -0.888 4.849
P 2.875 -3.634 7.500
O -2.013 0.950 7.070
O -2.360 -3.197 5.776
O 0.265 2.017 6.535
O 3.901 -3.372 6.435
O 2.125 -0.299 5.521
O 1.176 -0.044 8.425
O 0.770 -0.552 3.358
O 1.119 -1.870 10.147
O -0.236 -2.123 7.984
O 0.713 -2.377 5.081
O 1.624 -4.438 6.970
O 4.249 0.776 7.729
O 2.318 -2.205 7.955
O -0.429 -0.217 5.551
Mo 2.229 1.180 7.058
Mo -0.340 -3.601 6.448
Li 4.748 -1.929 5.326
Li -2.859 -0.493 8.179
```

[2]
Entry from the Materials Project: a relaxed structure of LiMoP4O13 (PBE with a Hubbard U).

Properties
V, Å³/f.u.: 255.9
Polymorph energy (0 for the lowest one), kJ/mol of formula units: 0
SG: P2_12_12_1
Formation energy from the elements, eV per atom: -2.481
VASP energy, eV/atom: -7.039

```
76
Lattice="7.210 0.000 0.000 0.000 8.181 0.000 0.000 0.000 17.352" Properties=species:S:1:pos:R:3 pbc="T T T"
O 1.852 6.388 12.207
O 2.433 3.983 12.278
O 2.114 6.724 15.770
O 0.764 0.588 16.376
O 3.002 1.591 13.695
O 6.599 6.754 12.059
O 1.491 1.457 7.094
O 4.216 1.427 3.383
O 2.772 0.859 1.340
O 2.900 1.715 10.865
O 4.777 8.074 13.750
O 4.271 1.199 15.903
O 4.438 4.950 7.336
O 4.369 3.502 0.976
O 2.468 4.160 15.976
O 0.603 6.590 5.019
O 0.705 6.466 2.189
O 1.137 4.021 7.300
O 6.607 2.499 3.657
O 6.275 4.579 13.819
O 0.151 2.913 11.264
O 0.935 0.488 12.209
O 6.544 6.982 7.227
O 0.020 6.402 17.163
O 6.446 4.679 9.652
O 5.096 2.634 10.258
O 1.172 4.198 3.602
O 1.753 1.794 3.531
O 4.742 0.069 10.052
O 6.377 3.231 16.012
O 2.939 5.290 10.125
O 6.505 2.376 6.487
O 5.719 5.547 1.582
O 4.208 5.682 12.332
O 0.833 7.322 10.016
O 6.038 0.107 5.074
O 6.073 8.112 1.376
O 0.611 2.663 13.969
O 2.994 5.518 5.293
O 4.540 3.602 5.143
O 4.310 5.806 15.163
O 3.756 1.178 6.088
O 0.666 2.892 1.449
O 5.457 5.884 5.145
O 7.190 2.311 8.864
O 5.358 2.297 13.821
O 2.670 7.693 3.533
O 3.454 5.268 2.588
O 2.841 7.593 7.700
O 3.625 5.870 0.188
O 7.059 7.004 14.764
O 3.585 1.780 8.488
P 0.503 2.694 7.376
P 2.887 0.891 2.810
P 4.108 1.397 9.975
P 4.303 1.241 14.425
P 6.707 6.785 1.299
P 3.102 5.487 16.052
P 2.949 0.841 7.349
P 0.698 2.849 2.927
P 0.656 7.340 16.024
P 6.554 3.249 10.003
P 4.261 4.932 1.327
P 4.323 4.982 5.866
P 2.907 5.332 11.603
P 6.492 3.199 14.542
P 0.718 7.290 11.485
P 6.512 6.940 5.749
Mo 1.923 5.944 3.707
Mo 1.682 2.237 12.382
Mo 5.287 1.854 4.969
Mo 5.528 6.328 13.645
Li 5.408 6.117 8.707
Li 5.407 2.064 0.031
Li 1.803 6.155 8.645
Li 1.802 2.027 17.321
```

[3]
Entry from the Materials Project: a relaxed structure of Li3Mo2P3O14 (PBE with a Hubbard U).

Properties
V, Å³/f.u.: 280.7
SG: P2_1/c
Formation energy from the elements, eV per atom: -2.426
VASP energy, eV/atom: -6.831

```
176
Lattice="-0.088 6.879 -4.497 -1.281 -8.389 -12.808 -18.060 -1.587 -2.074" Properties=species:S:1:pos:R:3 pbc="T T T"
O -6.453 1.154 -10.810
O -11.944 -2.229 -10.707
O -13.768 0.813 -10.963
O -5.661 -3.909 -8.416
O -14.705 -3.595 -10.177
O -12.458 -2.366 -13.384
O -18.484 -3.288 -7.330
O -15.428 -2.975 -12.851
O -18.456 -0.838 -7.916
O -7.524 -3.458 -12.020
O -17.732 -6.343 -16.126
O -16.419 -1.450 -3.554
O -8.675 -0.753 -3.429
O -3.749 1.141 -1.761
O -9.962 -1.604 -12.432
O -10.174 -3.837 -13.938
O -9.254 0.741 -5.441
O -12.781 0.509 -2.903
O -17.968 -2.083 -12.003
O -9.561 1.024 -8.076
O -17.155 -5.923 -13.358
O -9.388 -3.011 -4.939
O -3.009 -1.646 -15.826
O -2.453 0.671 -3.907
O -10.920 -6.721 -12.659
O -3.331 -5.034 -10.256
O -11.469 -1.245 -4.211
O -12.999 -3.356 -5.970
O -1.709 -2.748 -14.130
O -14.880 -5.212 -15.448
O -16.471 -5.083 -7.472
O -2.448 1.613 -8.294
O -13.829 -1.761 -8.531
O -16.518 -7.110 -11.189
O -12.053 2.435 -4.783
O -11.313 2.837 -7.583
O -4.723 0.499 -9.202
O -12.014 -4.362 -15.606
O -1.903 -4.860 -12.320
O -1.697 3.247 -3.253
O -4.771 -3.121 -6.086
O -1.180 -0.296 -14.696
O -8.509 3.625 -6.720
O -7.945 -4.335 -9.774
O -13.743 -0.492 -5.019
O -14.724 -2.683 -15.864
O -16.376 -8.635 -14.123
O -2.911 4.014 -8.190
O -16.098 1.938 -9.124
O -0.973 -2.258 -11.463
O -6.970 -0.730 -5.996
O -7.484 -0.867 -8.672
O -6.648 -3.604 -16.476
O -3.962 -2.143 -8.391
O -18.249 -2.800 -4.683
O -6.429 0.260 -13.409
O -12.976 -4.250 -8.569
O -9.867 -4.119 -11.303
O -5.685 -2.604 -14.360
O -7.055 1.691 -7.406
O -13.032 -7.095 -11.278
O -7.414 1.266 -3.773
O -14.657 0.026 -13.293
O -18.880 -6.230 -11.479
O -5.600 -1.335 -10.848
O -4.038 -3.484 -12.083
O -6.231 3.312 -5.650
O -17.007 -2.379 -9.254
O -13.538 -1.884 -2.872
O -16.976 -3.767 -15.472
O -17.720 -0.348 -5.250
O -10.762 5.213 -6.094
O -8.115 -5.933 -11.797
O -15.266 2.911 -6.944
O -2.273 2.827 -6.021
O -1.461 -1.013 -7.376
O -7.375 -5.531 -14.597
O -15.985 -2.677 -6.279
O -10.754 -2.343 -15.950
O -11.484 1.239 -9.605
O -6.397 3.999 -8.101
O -0.548 3.134 -7.900
O -7.960 -1.851 -15.169
O -4.000 -0.121 -6.529
O -12.374 -4.787 -11.973
O -11.904 0.362 -7.359
O -0.867 0.645 -1.041
O -8.962 0.633 -12.223
O -3.053 5.540 -5.256
O -0.945 0.192 -12.050
O -16.980 -4.709 -11.085
O -8.667 -8.309 -13.285
O -10.040 -0.085 -14.440
O -11.478 0.496 -12.475
O -10.466 -3.729 -7.157
O -13.197 -6.407 -13.729
O -15.680 -4.237 -17.618
O -4.549 2.116 -3.931
O -4.162 -6.007 -12.435
O -7.951 -3.592 -6.904
O -3.443 -0.419 -13.100
O -5.891 -1.212 -16.507
O -4.704 -0.412 -3.515
O -18.561 -3.741 -18.339
O -15.391 0.388 -7.296
O -9.467 -1.492 -6.948
O -9.917 1.419 -3.102
O -2.422 -0.717 -10.126
O -9.511 -4.515 -16.277
O -17.525 1.764 -7.060
O -2.958 1.987 -11.907
O -15.466 -0.953 -10.988
Mo -13.036 -6.110 -15.904
Mo -7.155 -5.311 -8.198
Mo -18.406 -5.281 -14.977
Mo -3.202 -0.237 -8.023
Mo -7.995 -0.034 -7.221
Mo -16.227 -2.859 -11.356
Mo -10.094 4.600 -7.536
Mo -16.983 -4.097 -6.121
Mo -12.273 2.215 -11.182
Mo -15.458 5.019 -6.342
Mo -3.970 -8.115 -13.037
Mo -2.445 1.001 -13.258
Mo -6.393 3.014 -3.475
Mo -9.335 -7.695 -11.843
Mo -1.023 2.185 -4.402
Mo -11.433 -3.062 -12.158
P -3.365 -4.839 -11.823
P -17.873 -1.422 -4.123
P -7.042 3.206 -6.956
P -15.537 -3.943 -16.086
P -12.911 -0.779 -3.786
P -9.300 -2.980 -6.471
P -10.569 -3.804 -15.420
P -16.064 1.743 -7.556
P -8.379 -4.491 -11.269
P -12.386 -6.301 -12.423
P -1.556 -1.673 -15.257
P -3.891 0.847 -3.293
P -18.349 -2.251 -8.503
P -10.129 -0.116 -12.908
P -8.860 0.708 -3.959
P -14.166 -3.247 -8.760
P -5.132 -2.742 -7.535
P -17.399 -6.023 -11.823
P -14.296 -0.354 -11.844
P -5.263 0.151 -10.619
P -11.050 1.395 -8.110
P -6.518 -2.316 -15.593
P -1.079 -0.844 -10.876
P -2.029 2.928 -7.556
Li -12.811 -2.322 -15.747
Li -13.608 -0.469 -6.939
Li -5.820 -2.626 -12.441
Li -10.817 -0.379 -5.910
Li -13.098 3.185 -6.430
Li -14.882 -0.919 -15.113
Li -3.767 -2.607 -14.004
Li -12.219 -0.827 -9.365
Li -6.617 -0.774 -3.633
Li -7.209 -2.268 -10.014
Li -6.331 -6.280 -12.949
Li -4.064 3.712 -5.219
Li -8.611 -2.716 -13.469
Li -3.707 -2.262 -10.522
Li -15.661 -0.489 -5.375
Li -3.224 2.649 -10.081
Li -15.364 -6.808 -14.161
Li -15.722 -0.834 -8.857
Li -17.662 -1.874 -15.575
Li -4.546 -2.177 -4.267
Li -16.205 -5.745 -9.298
Li -12.697 -6.150 -9.536
Li -6.731 3.054 -9.843
Li -1.767 -1.221 -3.804
```

[4]
Entry from the Materials Project: a relaxed structure of Li4MoP2O9 (PBE with a Hubbard U).

Properties
V, Å³/f.u.: 182.8
SG: C2/m
Formation energy from the elements, eV per atom: -2.569
VASP energy, eV/atom: -6.597

```
32
Lattice="-1.653 -5.063 -6.023 5.023 -5.001 -3.797 -1.533 -5.176 4.743" Properties=species:S:1:pos:R:3 pbc="T T T"
O 4.017 -8.114 -4.796
O -0.458 -10.845 -2.362
O 1.328 -6.389 -3.803
O 2.033 -7.086 1.124
O -2.180 -7.126 -0.281
O 0.508 -8.851 -1.275
O 2.361 -8.316 -6.844
O -0.524 -6.923 1.766
O -0.131 -4.417 -3.524
O 0.518 -5.685 -1.392
O 1.967 -10.822 -1.553
O 2.295 -4.395 -2.716
O 2.224 -11.416 -6.346
O 2.002 -13.960 -5.610
O 1.319 -9.555 -3.685
O -0.196 -8.153 -6.201
O -0.166 -1.280 0.533
O -0.387 -3.824 1.269
Li 1.745 -5.088 0.473
Li 3.480 -5.015 -4.311
Li -1.593 -5.120 -0.640
Li 1.653 -7.952 -4.733
Li -0.827 -4.942 2.619
Li 2.664 -10.298 -7.697
Li -0.110 -5.049 -5.509
Li 0.183 -7.288 -0.344
P 0.852 -9.925 -2.276
P 1.885 -12.453 -5.302
P -0.049 -2.787 0.225
P 0.984 -5.314 -2.802
Mo -0.827 -2.532 -3.012
Mo 2.511 -2.500 -1.898
```

[5]
Entry from the Materials Project: a relaxed structure of Li3Mo2P3O12 (PBE with a Hubbard U).

Properties
V, Å³/f.u.: 251.4
Polymorph energy (0 for the lowest one), kJ/mol of formula units: 9
SG: P2_1/c
Formation energy from the elements, eV per atom: -2.561
VASP energy, eV/atom: -6.981

```
80
Lattice="8.946 0.000 0.000 0.000 8.962 0.000 0.000 8.934 12.544" Properties=species:S:1:pos:R:3 pbc="T T T"
O 5.628 8.022 5.485
O 6.880 7.677 2.394
O 0.525 1.441 0.526
O 4.343 7.296 2.749
O 1.518 10.498 5.424
O 2.407 5.752 3.879
O 2.955 14.965 11.696
O 6.211 9.533 7.490
O 5.691 13.754 11.702
O 6.539 12.144 8.666
O 4.210 3.158 3.365
O 3.256 4.142 0.843
O 8.145 14.034 8.409
O 0.980 8.319 1.973
O 0.801 3.862 4.135
O 3.318 9.874 7.059
O 5.273 7.667 0.440
O 6.691 7.515 10.135
O 0.130 11.763 9.021
O 7.966 9.577 10.572
O 3.672 8.328 10.407
O 3.493 12.785 8.245
O 2.256 10.381 2.409
O 8.146 12.134 6.712
O 2.066 10.219 10.151
O 7.209 5.066 1.218
O 4.998 11.988 5.746
O 8.683 10.271 2.907
O 1.737 12.830 11.327
O 2.218 14.848 8.681
O 8.421 16.454 12.019
O 1.155 5.408 0.787
O 8.816 6.133 3.524
O 0.263 7.625 9.637
O 4.603 10.600 9.796
O 7.729 9.287 5.430
O 5.275 9.568 2.137
O 7.792 12.488 11.757
O 5.453 5.111 4.299
O 0.800 5.762 5.832
O 3.673 10.229 12.104
O 4.736 14.738 9.179
O 2.736 8.363 5.054
O 3.948 5.908 6.798
O 1.217 8.609 7.115
O 5.992 2.931 0.848
O 7.428 7.398 7.120
O 6.729 3.048 3.863
Li 2.650 8.373 3.058
Li 0.875 9.717 8.696
Li 8.071 8.179 3.848
Li 6.878 1.828 2.233
Li 7.123 5.057 3.214
Li 2.405 11.601 4.039
Li 5.348 12.646 10.120
Li 6.541 6.295 8.505
Li 2.068 16.068 10.312
Li 6.296 9.523 9.486
Li 1.823 12.839 9.330
Li 3.598 5.250 2.424
P 7.973 12.509 8.171
P 0.973 5.387 4.373
P 3.500 9.854 10.645
P 2.254 13.791 12.434
P 6.692 4.105 0.111
P 5.446 8.042 1.899
P 5.337 3.555 4.377
P 8.082 8.022 10.649
P 6.727 8.572 6.383
P 3.609 14.341 8.167
P 2.219 9.324 6.162
P 0.864 9.874 1.895
Mo 4.892 15.668 11.146
Mo 8.528 11.202 4.874
Mo 4.055 2.228 1.398
Mo 4.829 11.168 7.674
Mo 8.591 6.701 1.402
Mo 0.418 6.694 7.670
Mo 0.356 11.195 11.142
Mo 4.117 6.728 4.870
```